# 1
A plane-wave DFT calculation with GGA+U was carried out for a geometry-optimized CsLuMo2O8 structure.

Lattice parameters (Å, degrees): 5.051 8.001 9.661 90.00 90.00 90.00
Fractional positions:
O 0.744 0.822 0.180
O 0.744 0.322 0.820
O 0.256 0.678 0.180
O 0.607 0.500 0.359
O 0.256 0.822 0.820
O 0.243 0.000 0.064
Lu 0.000 0.250 0.000
O 0.757 0.000 0.936
O 0.744 0.678 0.820
Mo 0.477 0.500 0.191
O 0.243 0.500 0.936
Mo 0.477 0.000 0.809
Lu 0.000 0.750 0.000
Cs 0.000 0.250 0.500
O 0.393 0.500 0.641
O 0.256 0.322 0.180
Cs 0.000 0.750 0.500
O 0.744 0.178 0.180
Mo 0.523 0.000 0.191
Mo 0.523 0.500 0.809
O 0.757 0.500 0.064
O 0.607 0.000 0.641
O 0.256 0.178 0.820
O 0.393 0.000 0.359

Calculated values
* calculated total energy: -85.37 eV per formula unit
* energy with MP2020 corrections: -8.11 eV per atom
* mass density: 5.339 g cm⁻³
* ΔH_f (0 K): -2.55 eV per atom

***

# 2
A plane-wave DFT calculation with GGA+U was carried out for a geometry-optimized CsLuMo2O8 structure.

Lattice parameters (Å, degrees): 7.531 7.531 7.707 62.16 62.16 88.39
Fractional positions:
Mo 0.698 0.693 0.768
Mo 0.302 0.307 0.232
Lu 0.771 0.229 0.750
O 0.951 0.786 0.202
O 0.786 0.951 0.702
O 0.412 0.631 0.037
O 0.242 0.384 0.933
Mo 0.307 0.302 0.732
O 0.369 0.588 0.463
Cs 0.196 0.804 0.750
O 0.937 0.622 0.619
O 0.384 0.242 0.433
O 0.631 0.412 0.537
O 0.214 0.049 0.298
O 0.616 0.758 0.567
O 0.588 0.369 0.963
O 0.622 0.937 0.119
Cs 0.804 0.196 0.250
Lu 0.229 0.771 0.250
O 0.758 0.616 0.067
O 0.049 0.214 0.798
Mo 0.693 0.698 0.268
O 0.063 0.378 0.381
O 0.378 0.063 0.881

Calculated values
* calculated total energy: -84.71 eV per formula unit
* energy with MP2020 corrections: -8.05 eV per atom
* mass density: 6.288 g cm⁻³
* ΔH_f (0 K): -2.49 eV per atom

***

# 3
A plane-wave DFT calculation with GGA+U was carried out for a geometry-optimized Cs2Mg2Mo3O12 structure.

Lattice parameters (Å, degrees): 11.071 11.071 11.071 90.00 90.00 90.00
Fractional positions:
O 0.762 0.548 0.695
Cs 0.950 0.550 0.450
Mo 0.624 0.521 0.288
O 0.770 0.013 0.564
Mg 0.603 0.603 0.603
O 0.730 0.987 0.064
O 0.064 0.730 0.987
Cs 0.181 0.319 0.681
O 0.238 0.048 0.805
Mg 0.164 0.664 0.836
O 0.013 0.564 0.770
O 0.564 0.770 0.013
Cs 0.319 0.681 0.181
O 0.759 0.100 0.826
Mo 0.212 0.376 0.021
Mg 0.897 0.397 0.103
Cs 0.550 0.450 0.950
O 0.169 0.984 0.556
O 0.048 0.805 0.238
O 0.695 0.762 0.548
Mo 0.876 0.479 0.788
O 0.436 0.270 0.487
O 0.984 0.556 0.169
O 0.936 0.230 0.513
Mg 0.103 0.897 0.397
O 0.741 0.900 0.326
O 0.952 0.305 0.262
O 0.513 0.936 0.230
O 0.674 0.241 0.600
O 0.230 0.513 0.936
O 0.326 0.741 0.900
O 0.331 0.016 0.056
O 0.944 0.831 0.484
O 0.831 0.484 0.944
O 0.738 0.452 0.195
Mo 0.288 0.624 0.521
O 0.259 0.400 0.174
O 0.805 0.238 0.048
Mo 0.021 0.212 0.376
Mo 0.521 0.288 0.624
O 0.600 0.674 0.241
Mg 0.336 0.336 0.336
O 0.195 0.738 0.452
Mg 0.836 0.164 0.664
Mo 0.376 0.021 0.212
O 0.556 0.169 0.984
Mo 0.712 0.124 0.979
Cs 0.681 0.181 0.319
O 0.241 0.600 0.674
Cs 0.819 0.819 0.819
O 0.016 0.056 0.331
O 0.900 0.326 0.741
O 0.487 0.436 0.270
Mg 0.664 0.836 0.164
Mo 0.124 0.979 0.712
Mg 0.397 0.103 0.897
O 0.669 0.516 0.444
Mo 0.788 0.876 0.479
O 0.516 0.444 0.669
Cs 0.050 0.050 0.050
O 0.400 0.174 0.259
O 0.826 0.759 0.100
O 0.444 0.669 0.516
O 0.100 0.826 0.759
O 0.987 0.064 0.730
O 0.548 0.695 0.762
O 0.174 0.259 0.400
O 0.305 0.262 0.952
Mo 0.979 0.712 0.124
O 0.452 0.195 0.738
O 0.270 0.487 0.436
Mo 0.479 0.788 0.876
O 0.056 0.331 0.016
Cs 0.450 0.950 0.550
O 0.262 0.952 0.305
O 0.484 0.944 0.831

Calculated values
* calculated total energy: -123.85 eV per formula unit
* energy with MP2020 corrections: -7.46 eV per atom
* mass density: 3.888 g cm⁻³
* ΔH_f (0 K): -2.36 eV per atom

***

# 4
A plane-wave DFT calculation with GGA+U was carried out for a geometry-optimized CsMgV2O5 structure.

Lattice parameters (Å, degrees): 5.687 6.439 5.545 117.61 74.72 95.54
Fractional positions:
V 0.555 0.325 0.157
Mg 0.131 0.493 0.860
O 0.863 0.322 0.988
O 0.930 0.703 0.839
O 0.400 0.502 0.042
O 0.448 0.487 0.548
V 0.610 0.694 0.861
O 0.477 0.012 0.045
Cs 0.243 0.942 0.577

Calculated values
* calculated total energy: -59.46 eV per formula unit
* energy with MP2020 corrections: -7.37 eV per atom
* mass density: 3.246 g cm⁻³
* ΔH_f (0 K): -2.32 eV per atom

***

# 5
A plane-wave DFT calculation with GGA+U was carried out for a geometry-optimized CsMg14WO16 structure.

Lattice parameters (Å, degrees): 8.847 8.847 4.508 90.00 90.00 90.00
Fractional positions:
W 0.500 0.500 0.000
O 0.500 0.500 0.500
Mg 0.249 0.249 0.000
Mg 0.758 0.500 0.500
Mg 0.000 0.259 0.500
O 0.749 0.251 0.500
Mg 0.741 0.000 0.500
Mg 0.500 0.242 0.500
O 0.500 0.000 0.500
O 0.253 0.500 0.000
O 0.747 0.500 0.000
Mg 0.249 0.751 0.000
O 0.749 0.749 0.500
O 0.713 0.000 0.000
O 0.287 0.000 0.000
Mg 0.751 0.751 0.000
Mg 0.500 0.758 0.500
Mg 0.000 0.741 0.500
Cs 0.000 0.000 0.000
O 0.251 0.749 0.500
O 0.500 0.747 0.000
O 0.251 0.251 0.500
O 0.000 0.713 0.000
Mg 0.242 0.500 0.500
O 0.000 0.000 0.500
O 0.000 0.287 0.000
Mg 0.259 0.000 0.500
Mg 0.000 0.500 0.000
O 0.000 0.500 0.500
O 0.500 0.253 0.000
Mg 0.500 0.000 0.000
Mg 0.751 0.249 0.000

Calculated values
* relative energy among the computed polymorphs: 0 kJ/mol of formula units
* calculated total energy: -182.15 eV per formula unit
* energy with MP2020 corrections: -6.17 eV per atom
* mass density: 4.297 g cm⁻³
* ΔH_f (0 K): -2.57 eV per atom

***

# 6
A plane-wave DFT calculation with GGA+U was carried out for a geometry-optimized CsMg14WO16 structure.

Lattice parameters (Å, degrees): 8.807 9.031 4.467 90.00 90.00 90.00
Fractional positions:
Mg 0.000 0.750 0.500
O 0.000 0.274 0.000
O 0.746 0.500 0.000
Mg 0.260 0.248 0.000
Mg 0.742 0.500 0.500
O 0.250 0.251 0.500
Mg 0.265 0.000 0.500
O 0.713 0.000 0.000
Mg 0.000 0.250 0.500
Mg 0.740 0.248 0.000
O 0.500 0.737 0.000
Mg 0.500 0.252 0.500
W 0.000 0.500 0.000
O 0.500 0.000 0.500
Mg 0.500 0.500 0.000
O 0.254 0.500 0.000
O 0.287 0.000 0.000
O 0.250 0.749 0.500
O 0.000 0.726 0.000
Mg 0.500 0.748 0.500
O 0.750 0.251 0.500
Mg 0.500 0.000 0.000
Cs 0.000 0.000 0.000
O 0.750 0.749 0.500
Mg 0.740 0.752 0.000
O 0.500 0.500 0.500
O 0.000 0.500 0.500
O 0.500 0.263 0.000
Mg 0.258 0.500 0.500
Mg 0.735 0.000 0.500
O 0.000 0.000 0.500
Mg 0.260 0.752 0.000

Calculated values
* relative energy among the computed polymorphs: 39 kJ/mol of formula units
* calculated total energy: -181.74 eV per formula unit
* energy with MP2020 corrections: -6.16 eV per atom
* mass density: 4.267 g cm⁻³
* ΔH_f (0 K): -2.55 eV per atom

***

# 7
A plane-wave DFT calculation with GGA+U was carried out for a geometry-optimized Cs2Mn2Mo3O12 structure.

Lattice parameters (Å, degrees): 11.273 11.273 11.273 90.00 90.00 90.00
Fractional positions:
Mo 0.624 0.520 0.286
O 0.453 0.192 0.735
Mo 0.020 0.214 0.376
O 0.986 0.561 0.170
O 0.741 0.901 0.329
Cs 0.050 0.050 0.050
O 0.329 0.741 0.901
Mo 0.980 0.714 0.124
O 0.489 0.436 0.268
O 0.564 0.768 0.011
O 0.047 0.808 0.235
O 0.670 0.514 0.439
O 0.436 0.268 0.489
O 0.830 0.486 0.939
Mo 0.520 0.286 0.624
Mn 0.101 0.899 0.399
Mn 0.601 0.601 0.601
O 0.561 0.170 0.986
Mn 0.165 0.665 0.835
O 0.330 0.014 0.061
O 0.064 0.732 0.989
O 0.259 0.401 0.171
Mn 0.899 0.399 0.101
O 0.735 0.453 0.192
O 0.989 0.064 0.732
Cs 0.682 0.182 0.318
O 0.808 0.235 0.047
Mn 0.835 0.165 0.665
Mn 0.335 0.335 0.335
O 0.692 0.765 0.547
O 0.401 0.171 0.259
Mn 0.665 0.835 0.165
O 0.439 0.670 0.514
Mo 0.376 0.020 0.214
Mo 0.876 0.480 0.786
Mo 0.214 0.376 0.020
O 0.936 0.232 0.511
O 0.011 0.564 0.768
Cs 0.950 0.550 0.450
O 0.099 0.829 0.759
O 0.901 0.329 0.741
Mo 0.286 0.624 0.520
O 0.192 0.735 0.453
O 0.514 0.439 0.670
O 0.953 0.308 0.265
O 0.171 0.259 0.401
O 0.170 0.986 0.561
O 0.061 0.330 0.014
O 0.308 0.265 0.953
Cs 0.450 0.950 0.550
O 0.829 0.759 0.099
O 0.671 0.241 0.599
Mn 0.399 0.101 0.899
O 0.939 0.830 0.486
Cs 0.550 0.450 0.950
O 0.768 0.011 0.564
O 0.765 0.547 0.692
O 0.759 0.099 0.829
O 0.235 0.047 0.808
Cs 0.318 0.682 0.182
O 0.511 0.936 0.232
O 0.241 0.599 0.671
Mo 0.714 0.124 0.980
Mo 0.786 0.876 0.480
Cs 0.818 0.818 0.818
O 0.014 0.061 0.330
O 0.265 0.953 0.308
O 0.547 0.692 0.765
O 0.232 0.511 0.936
O 0.486 0.939 0.830
O 0.599 0.671 0.241
O 0.268 0.489 0.436
Mo 0.480 0.786 0.876
Mo 0.124 0.980 0.714
Cs 0.182 0.318 0.682
O 0.732 0.989 0.064

Calculated values
* calculated total energy: -131.52 eV per formula unit
* energy with MP2020 corrections: -8.04 eV per atom
* mass density: 3.967 g cm⁻³
* ΔH_f (0 K): -2.14 eV per atom

***

# 8
A plane-wave DFT calculation with GGA+U was carried out for a geometry-optimized Cs2Zr2MnMo6O24 structure.

Lattice parameters (Å, degrees): 8.958 8.971 8.978 100.09 100.28 100.12
Fractional positions:
O 0.198 0.603 0.538
O 0.161 0.177 0.667
Mo 0.843 0.288 0.300
O 0.177 0.667 0.161
O 0.189 0.942 0.413
O 0.835 0.640 0.021
Mo 0.289 0.300 0.845
O 0.671 0.166 0.182
O 0.022 0.835 0.640
Mo 0.711 0.700 0.155
Mo 0.700 0.155 0.713
O 0.823 0.333 0.839
O 0.398 0.462 0.803
O 0.802 0.397 0.462
Zr 0.000 0.500 0.000
Mo 0.157 0.712 0.700
O 0.059 0.587 0.811
O 0.329 0.834 0.818
O 0.811 0.058 0.587
O 0.165 0.360 0.979
O 0.411 0.195 0.939
O 0.589 0.805 0.061
Cs 0.667 0.668 0.668
O 0.839 0.823 0.333
O 0.602 0.538 0.197
O 0.537 0.197 0.604
Zr 0.000 0.000 0.500
Mn 0.500 0.000 0.000
O 0.978 0.165 0.360
O 0.941 0.413 0.189
Mo 0.300 0.845 0.287
Cs 0.333 0.332 0.332
O 0.358 0.976 0.170
O 0.463 0.803 0.396
O 0.642 0.024 0.830

Calculated values
* calculated total energy: -257.63 eV per formula unit
* energy with MP2020 corrections: -8.43 eV per atom
* mass density: 3.558 g cm⁻³
* ΔH_f (0 K): -2.38 eV per atom